# 1
CsNb3P3O15 PBE relaxed; space group = Pnnm (58); calculated volume = 1349.4 Å³ per cell; energy above the most stable polymorph in this dataset = 0.000 kcal/mol of atoms; formation enthalpy at 0 K = -63.93 eV per formula unit
1.0
6.526 0.000 0.000
0.000 13.724 0.000
0.000 0.000 15.067
Cs Nb P O
4 12 12 60
direct
0.000 0.510 0.329
0.000 0.490 0.671
0.500 0.990 0.829
0.500 0.010 0.171
0.000 0.062 0.613
0.000 0.938 0.387
0.500 0.438 0.113
0.500 0.562 0.887
0.000 0.188 0.273
0.000 0.812 0.727
0.500 0.312 0.773
0.500 0.688 0.227
0.000 0.141 0.022
0.000 0.859 0.978
0.500 0.359 0.522
0.500 0.641 0.478
0.000 0.771 0.205
0.000 0.229 0.795
0.500 0.729 0.705
0.500 0.271 0.295
0.000 0.288 0.492
0.000 0.712 0.508
0.500 0.212 0.992
0.500 0.788 0.008
0.000 0.368 0.118
0.000 0.632 0.882
0.500 0.132 0.618
0.500 0.868 0.382
0.000 0.061 0.324
0.000 0.939 0.676
0.500 0.439 0.824
0.500 0.561 0.176
0.000 0.813 0.110
0.000 0.187 0.890
0.500 0.687 0.610
0.500 0.313 0.390
0.000 0.000 0.000
0.500 0.500 0.500
0.000 0.142 0.731
0.000 0.858 0.269
0.500 0.358 0.231
0.500 0.642 0.769
0.000 0.000 0.500
0.500 0.500 0.000
0.312 0.204 0.278
0.688 0.796 0.722
0.312 0.796 0.722
0.188 0.296 0.778
0.688 0.204 0.278
0.812 0.704 0.222
0.188 0.704 0.222
0.812 0.296 0.778
0.000 0.135 0.151
0.000 0.865 0.849
0.500 0.365 0.651
0.500 0.635 0.349
0.190 0.436 0.112
0.810 0.564 0.888
0.190 0.564 0.888
0.310 0.064 0.612
0.810 0.436 0.112
0.690 0.936 0.388
0.310 0.936 0.388
0.690 0.064 0.612
0.000 0.198 0.551
0.000 0.802 0.449
0.500 0.302 0.051
0.500 0.698 0.949
0.313 0.146 0.014
0.687 0.854 0.986
0.313 0.854 0.986
0.187 0.354 0.514
0.687 0.146 0.014
0.813 0.646 0.486
0.187 0.646 0.486
0.813 0.354 0.514
0.000 0.264 0.393
0.000 0.736 0.607
0.500 0.236 0.893
0.500 0.764 0.107
0.000 0.324 0.212
0.000 0.676 0.788
0.500 0.176 0.712
0.500 0.824 0.288
0.000 0.293 0.043
0.000 0.707 0.957
0.500 0.207 0.543
0.500 0.793 0.457

# 2
Na5Ca3GeP3S3O24 PBE relaxed; space group = P1 (1); calculated volume = 1668.9 Å³ per cell; formation enthalpy at 0 K = -98.90 eV per formula unit
1.0
9.199 0.037 0.001
-4.568 7.906 -0.066
0.005 -0.196 22.896
Na Ca Ge P S O
15 9 3 9 9 72
direct
0.996 0.638 0.263
0.305 0.346 0.587
0.033 0.693 0.578
0.668 0.956 0.577
0.664 0.694 0.077
0.038 0.343 0.083
0.991 0.681 0.908
0.326 0.300 0.905
0.686 0.675 0.421
0.001 0.008 0.496
0.998 0.993 0.994
0.654 0.317 0.827
0.648 0.284 0.340
0.342 0.680 0.175
0.327 0.647 0.677
0.001 0.013 0.353
0.994 0.002 0.847
0.002 0.010 0.658
0.007 0.996 0.148
0.666 0.339 0.690
0.655 0.323 0.187
0.332 0.674 0.015
0.328 0.666 0.510
0.338 0.676 0.326
0.679 0.338 0.971
0.704 0.349 0.481
0.339 0.666 0.823
0.311 0.329 0.758
0.957 0.331 0.582
0.671 0.619 0.578
0.941 0.614 0.077
0.628 0.653 0.921
0.033 0.378 0.920
0.353 0.971 0.916
0.643 0.992 0.426
0.010 0.659 0.420
0.299 0.991 0.251
0.692 0.700 0.248
0.008 0.314 0.246
0.023 0.693 0.757
0.668 0.977 0.754
0.376 0.048 0.582
0.677 0.050 0.076
0.370 0.327 0.075
0.352 0.359 0.423
0.205 0.996 0.302
0.793 0.797 0.300
0.008 0.213 0.295
0.220 0.221 0.811
0.004 0.778 0.809
0.779 0.996 0.802
0.736 0.956 0.697
0.215 0.261 0.700
0.035 0.786 0.703
0.773 0.788 0.193
0.008 0.234 0.188
0.211 0.989 0.196
0.870 0.350 0.635
0.469 0.121 0.636
0.641 0.508 0.630
0.851 0.517 0.132
0.667 0.132 0.130
0.466 0.328 0.127
0.450 0.314 0.019
0.824 0.517 0.019
0.683 0.148 0.022
0.464 0.153 0.530
0.694 0.528 0.520
0.848 0.311 0.525
0.564 0.675 0.980
0.116 0.441 0.979
0.320 0.872 0.971
0.569 0.888 0.482
0.333 0.429 0.479
0.106 0.674 0.476
0.091 0.639 0.364
0.533 0.907 0.372
0.370 0.473 0.374
0.132 0.515 0.871
0.379 0.875 0.862
0.496 0.624 0.871
0.968 0.803 0.417
0.822 0.019 0.419
0.209 0.188 0.415
0.012 0.204 0.908
0.205 0.002 0.906
0.808 0.791 0.910
0.968 0.165 0.582
0.206 0.035 0.584
0.836 0.793 0.581
0.949 0.788 0.074
0.837 0.042 0.075
0.195 0.184 0.076
0.640 0.122 0.752
0.492 0.363 0.757
0.882 0.518 0.754
0.689 0.534 0.250
0.856 0.335 0.250
0.471 0.138 0.253
0.628 0.474 0.919
0.854 0.371 0.918
0.520 0.155 0.920
0.646 0.168 0.432
0.514 0.355 0.424
0.831 0.487 0.422
0.364 0.488 0.078
0.113 0.626 0.075
0.535 0.874 0.075
0.349 0.872 0.576
0.519 0.647 0.571
0.135 0.487 0.577
0.305 0.831 0.251
0.521 0.675 0.251
0.157 0.487 0.248
0.313 0.507 0.768
0.188 0.693 0.762
0.502 0.814 0.761

# 3
K2NaAlP2 PBE relaxed; space group = Ibam (72); calculated volume = 309.6 Å³ per cell; formation enthalpy at 0 K = -3.28 eV per formula unit
1.0
-3.159 3.333 7.350
3.159 -3.333 7.350
3.159 3.333 -7.350
K Na Al P
4 2 2 4
direct
0.567 0.324 0.244
0.433 0.676 0.756
0.920 0.176 0.744
0.080 0.824 0.256
0.500 0.250 0.750
0.500 0.750 0.250
0.000 0.750 0.750
0.000 0.250 0.250
0.894 0.591 0.303
0.288 0.091 0.197
0.712 0.909 0.803
0.106 0.409 0.697

# 4
LuAlO3 PBE relaxed; space group = R-3c (167); calculated volume = 100.5 Å³ per cell; formation enthalpy at 0 K = -18.61 eV per formula unit
1.0
4.467 -2.628 0.000
4.467 2.628 0.000
2.921 0.000 4.281
Lu Al O
2 2 6
direct
0.750 0.750 0.750
0.250 0.250 0.250
0.000 0.000 0.000
0.500 0.500 0.500
0.750 0.337 0.163
0.663 0.837 0.250
0.837 0.250 0.663
0.163 0.750 0.337
0.337 0.163 0.750
0.250 0.663 0.837

# 5
Rb2EuAgCl6 PBE relaxed; space group = Fm-3m (225); calculated volume = 316.0 Å³ per cell; formation enthalpy at 0 K = -20.32 eV per formula unit
1.0
0.000 5.406 5.406
5.406 0.000 5.406
5.406 5.406 0.000
Rb Eu Ag Cl
2 1 1 6
direct
0.750 0.750 0.750
0.250 0.250 0.250
0.000 0.000 0.000
0.500 0.500 0.500
0.748 0.252 0.252
0.252 0.252 0.748
0.252 0.748 0.748
0.252 0.748 0.252
0.748 0.252 0.748
0.748 0.748 0.252

# 6
Cd4RuN4 PBE relaxed; space group = P-1 (2); calculated volume = 307.2 Å³ per cell; formation enthalpy at 0 K = 3.35 eV per formula unit
1.0
-1.145 -3.304 -5.464
-2.733 -5.845 0.675
-9.090 -0.005 1.418
Cd Ru N
8 2 8
direct
0.864 0.626 0.241
0.136 0.374 0.759
0.747 0.254 0.000
0.253 0.746 0.000
0.648 0.529 0.625
0.352 0.471 0.375
0.153 0.021 0.626
0.847 0.979 0.374
0.697 0.914 0.782
0.303 0.086 0.218
0.919 0.813 0.658
0.081 0.187 0.342
0.841 0.877 0.964
0.159 0.123 0.036
0.539 0.718 0.821
0.461 0.282 0.179
0.525 0.741 0.342
0.475 0.259 0.658

# 7
Mg7Si4 PBE relaxed; space group = P1 (1); calculated volume = 445.0 Å³ per cell; energy above the most stable polymorph in this dataset = 0.000 kcal/mol of atoms; formation enthalpy at 0 K = 0.55 eV per formula unit
1.0
3.811 0.064 -3.900
3.695 3.387 3.661
2.454 -12.679 4.135
Mg Si
14 8
direct
0.010 0.723 0.810
0.181 0.201 0.757
0.746 0.902 0.609
0.568 0.412 0.654
0.009 0.351 0.987
0.719 0.759 0.380
0.238 0.699 0.238
0.735 0.270 0.436
0.503 0.557 0.918
0.481 0.084 0.970
0.023 0.876 0.046
0.364 0.203 0.234
0.246 0.527 0.435
0.249 0.040 0.476
0.549 0.834 0.114
0.509 0.821 0.782
0.706 0.177 0.803
0.898 0.390 0.257
0.610 0.453 0.118
0.240 0.794 0.626
0.047 0.433 0.606
0.869 0.002 0.248

# 8
Cd2Ge7O16 PBE relaxed; space group = P-4b2 (117); calculated volume = 619.4 Å³ per cell; formation enthalpy at 0 K = -49.91 eV per formula unit
1.0
-2.273 -2.169 -11.026
10.479 -4.470 -1.281
-1.667 -4.247 1.179
Cd Ge O
4 14 32
direct
0.837 0.663 0.000
0.337 0.837 0.000
0.663 0.163 0.000
0.163 0.337 0.000
0.569 0.685 0.510
0.431 0.315 0.510
0.315 0.569 0.490
0.685 0.431 0.490
0.931 0.185 0.510
0.815 0.931 0.490
0.185 0.069 0.490
0.069 0.815 0.510
0.636 0.864 0.000
0.136 0.636 0.000
0.864 0.364 0.000
0.364 0.136 0.000
0.500 0.000 0.500
0.000 0.500 0.500
0.639 0.564 0.334
0.361 0.436 0.334
0.436 0.639 0.666
0.564 0.361 0.666
0.861 0.064 0.334
0.936 0.861 0.666
0.064 0.139 0.666
0.139 0.936 0.334
0.673 0.731 0.771
0.327 0.269 0.771
0.269 0.673 0.229
0.731 0.327 0.229
0.827 0.231 0.771
0.769 0.827 0.229
0.231 0.173 0.229
0.173 0.769 0.771
0.531 0.780 0.228
0.469 0.220 0.228
0.001 0.619 0.748
0.381 0.001 0.252
0.619 0.999 0.252
0.999 0.381 0.748
0.881 0.499 0.252
0.119 0.501 0.252
0.499 0.119 0.748
0.501 0.881 0.748
0.031 0.720 0.228
0.280 0.031 0.772
0.720 0.969 0.772
0.969 0.280 0.228
0.780 0.469 0.772
0.220 0.531 0.772